The following is a DFT calculation (PBE with a Hubbard U) of crystalline LiFeP4O12 at its relaxed geometry.

Computed properties:
Energy of formation from the pure elements, kJ/mol of atoms: -237
Energy above the most stable polymorph in this dataset, meV/atom: 96.6
Crystal system: monoclinic

Cell and atoms, written as POSCAR:
```
LiFeP4O12
1.0
9.512 0.000 0.000
0.000 7.222 0.000
0.000 0.700 7.189
O Fe P Li
24 2 8 2
direct
0.661 0.206 0.521 O
0.333 0.922 0.699 O
0.746 0.721 0.078 O
0.986 0.698 0.248 O
0.566 0.785 0.775 O
0.521 0.505 0.444 O
0.346 0.591 0.808 O
0.719 0.475 0.694 O
0.448 0.387 0.090 O
0.021 0.495 0.556 O
0.897 0.164 0.960 O
0.833 0.078 0.301 O
0.486 0.302 0.752 O
0.107 0.094 0.619 O
0.311 0.078 0.383 O
0.811 0.922 0.617 O
0.948 0.613 0.910 O
0.397 0.836 0.040 O
0.607 0.906 0.381 O
0.161 0.794 0.479 O
0.219 0.525 0.306 O
0.846 0.409 0.192 O
0.066 0.215 0.225 O
0.246 0.279 0.922 O
0.260 0.288 0.214 Fe
0.760 0.712 0.786 Fe
0.220 0.985 0.542 P
0.384 0.386 0.896 P
0.884 0.614 0.104 P
0.917 0.210 0.154 P
0.098 0.610 0.409 P
0.720 0.015 0.458 P
0.598 0.390 0.591 P
0.417 0.790 0.846 P
0.017 0.274 0.748 Li
0.517 0.726 0.252 Li
```